# 1
Crystalline Li6Mn3CoO10 at its relaxed geometry. Source: the Materials Project database, functional GGA+U.

Cell lengths 2.941, 6.458, 9.833 Å; angles 99.86, 92.66, 102.91 degrees
Fractional coordinates of all 20 atoms:
Li1 0.000 0.000 0.000
Li2 0.104 0.192 0.290
Li3 0.317 0.617 0.898
Li4 0.500 0.004 0.502
Li5 0.685 0.382 0.103
Li6 0.889 0.800 0.711
Mn1 0.415 0.806 0.194
Mn2 0.586 0.194 0.806
Mn3 0.802 0.592 0.400
Co1 0.190 0.402 0.604
O1 0.037 0.122 0.665
O2 0.153 0.291 0.931
O3 0.299 0.512 0.253
O4 0.309 0.685 0.546
O5 0.462 0.919 0.844
O6 0.536 0.080 0.157
O7 0.684 0.308 0.463
O8 0.700 0.483 0.745
O9 0.849 0.709 0.069
O10 0.967 0.879 0.336

Values from the calculation:
The value obtained for the MP2020-corrected energy is -6.802 eV per atom. For the total energy, the calculation gives -122.54 eV per formula unit. The energy relative to the lowest polymorph listed for this composition comes out at 34 meV/atom. For the magnetic moment, the calculation gives 10.0 μB/cell. The energy of formation from the pure elements comes out at -2026 meV per atom.

---

# 2
Crystalline Li7Mn2Co3O12 at its relaxed geometry. Source: the Materials Project database, functional GGA+U.

Cell lengths 5.147, 5.147, 14.976 Å; angles 101.11, 101.11, 33.49 degrees
Fractional coordinates of all 24 atoms:
Li1 0.000 0.000 0.000
Li2 0.005 0.005 0.353
Li3 0.007 0.007 0.682
Li4 0.247 0.247 0.926
Li5 0.500 0.500 0.179
Li6 0.501 0.501 0.516
Li7 0.508 0.508 0.846
Mn1 0.257 0.257 0.266
Mn2 0.750 0.750 0.090
Co1 0.255 0.255 0.599
Co2 0.753 0.753 0.432
Co3 0.755 0.755 0.769
O1 0.138 0.138 0.477
O2 0.141 0.141 0.800
O3 0.144 0.144 0.140
O4 0.359 0.359 0.060
O5 0.368 0.368 0.716
O6 0.369 0.369 0.385
O7 0.629 0.629 0.982
O8 0.641 0.641 0.306
O9 0.642 0.642 0.645
O10 0.867 0.867 0.552
O11 0.868 0.868 0.219
O12 0.871 0.871 0.874

Values from the calculation:
The value obtained for the MP2020-corrected energy is -6.541 eV per atom. For the total energy, the calculation gives -140.48 eV per formula unit. The energy relative to the lowest polymorph listed for this composition comes out at 76 meV/atom. For the magnetic moment, the calculation gives 8.0 μB/cell. The energy of formation from the pure elements comes out at -1858 meV per atom.

---

# 3
Crystalline Li3MnCoO5 at its relaxed geometry. Source: the Materials Project database, functional GGA+U.

Cell lengths 12.155, 12.155, 5.163 Å; angles 93.12, 93.12, 13.65 degrees
Fractional coordinates of all 20 atoms:
Li1 0.000 0.000 0.000
Li2 0.201 0.201 0.394
Li3 0.410 0.410 0.814
Li4 0.505 0.505 0.496
Li5 0.598 0.598 0.204
Li6 0.807 0.807 0.599
Mn1 0.101 0.101 0.683
Mn2 0.304 0.304 0.109
Co1 0.703 0.703 0.896
Co2 0.912 0.912 0.334
O1 0.059 0.059 0.381
O2 0.156 0.156 0.011
O3 0.252 0.252 0.788
O4 0.351 0.351 0.413
O5 0.450 0.450 0.156
O6 0.561 0.561 0.835
O7 0.650 0.650 0.557
O8 0.758 0.758 0.245
O9 0.845 0.845 0.966
O10 0.949 0.949 0.642

Values from the calculation:
The value obtained for the MP2020-corrected energy is -6.592 eV per atom. For the total energy, the calculation gives -59.18 eV per formula unit. The energy relative to the lowest polymorph listed for this composition comes out at 41 meV/atom. For the magnetic moment, the calculation gives 10.0 μB/cell. The energy of formation from the pure elements comes out at -1919 meV per atom.

---

# 4
Crystalline Li7Mn2Co3O12 at its relaxed geometry. Source: the Materials Project database, functional GGA+U.

Cell lengths 3.003, 5.002, 14.499 Å; angles 87.66, 87.63, 86.94 degrees
Fractional coordinates of all 24 atoms:
Li1 0.000 0.000 0.000
Li2 0.000 0.000 0.500
Li3 0.012 0.668 0.344
Li4 0.496 0.153 0.348
Li5 0.500 0.500 0.000
Li6 0.504 0.847 0.652
Li7 0.988 0.332 0.656
Mn1 0.002 0.332 0.168
Mn2 0.998 0.668 0.832
Co1 0.496 0.167 0.832
Co2 0.500 0.500 0.500
Co3 0.504 0.833 0.168
O1 0.007 0.346 0.426
O2 0.032 0.999 0.244
O3 0.033 0.337 0.910
O4 0.479 0.157 0.091
O5 0.482 0.495 0.759
O6 0.494 0.794 0.425
O7 0.506 0.206 0.575
O8 0.518 0.505 0.241
O9 0.521 0.843 0.909
O10 0.967 0.663 0.090
O11 0.968 0.001 0.756
O12 0.993 0.654 0.574

Values from the calculation:
The value obtained for the MP2020-corrected energy is -6.483 eV per atom. For the total energy, the calculation gives -139.10 eV per formula unit. The energy relative to the lowest polymorph listed for this composition comes out at 133 meV/atom. For the magnetic moment, the calculation gives 18.0 μB/cell. The energy of formation from the pure elements comes out at -1800 meV per atom.

---

# 5
Crystalline Li4MnCo2O7 at its relaxed geometry. Source: the Materials Project database, functional GGA+U.

Cell lengths 10.293, 10.293, 5.180 Å; angles 95.40, 95.40, 150.89 degrees
Fractional coordinates of all 28 atoms:
Li1 0.000 0.000 0.000
Li2 0.147 0.853 0.000
Li3 0.292 0.708 0.000
Li4 0.434 0.566 0.000
Li5 0.574 0.426 0.000
Li6 0.718 0.282 0.000
Li7 0.863 0.137 0.000
Li8 0.933 0.067 0.500
Mn1 0.073 0.927 0.500
Mn2 0.219 0.781 0.500
Co1 0.361 0.639 0.500
Co2 0.501 0.499 0.500
Co3 0.647 0.353 0.500
Co4 0.791 0.209 0.500
O1 0.064 0.481 0.264
O2 0.115 0.400 0.707
O3 0.215 0.353 0.271
O4 0.244 0.226 0.739
O5 0.328 0.179 0.293
O6 0.375 0.081 0.735
O7 0.496 0.060 0.272
O8 0.519 0.936 0.736
O9 0.600 0.885 0.293
O10 0.647 0.785 0.729
O11 0.774 0.756 0.261
O12 0.821 0.672 0.707
O13 0.919 0.625 0.265
O14 0.940 0.504 0.728

Values from the calculation:
The value obtained for the MP2020-corrected energy is -6.526 eV per atom. For the total energy, the calculation gives -81.60 eV per formula unit. The energy relative to the lowest polymorph listed for this composition comes out at 48 meV/atom. For the magnetic moment, the calculation gives 16.0 μB/cell. The energy of formation from the pure elements comes out at -1836 meV per atom.

---

# 6
Crystalline Li7Mn2Co3O12 at its relaxed geometry. Source: the Materials Project database, functional GGA+U.

Cell lengths 5.882, 5.883, 6.477 Å; angles 75.40, 76.67, 87.26 degrees
Fractional coordinates of all 24 atoms:
Li1 0.000 0.000 0.000
Li2 0.003 0.498 0.000
Li3 0.161 0.165 0.335
Li4 0.323 0.836 0.678
Li5 0.501 0.500 0.001
Li6 0.674 0.165 0.331
Li7 0.840 0.834 0.674
Mn1 0.500 0.002 0.003
Mn2 0.675 0.669 0.336
Co1 0.169 0.668 0.337
Co2 0.323 0.325 0.676
Co3 0.834 0.329 0.669
O1 0.073 0.105 0.663
O2 0.101 0.576 0.654
O3 0.263 0.766 0.026
O4 0.265 0.245 0.993
O5 0.424 0.445 0.352
O6 0.442 0.917 0.322
O7 0.557 0.082 0.689
O8 0.598 0.568 0.654
O9 0.733 0.753 0.021
O10 0.734 0.233 0.984
O11 0.903 0.422 0.345
O12 0.910 0.880 0.340

Values from the calculation:
The value obtained for the MP2020-corrected energy is -6.591 eV per atom. For the total energy, the calculation gives -141.69 eV per formula unit. The energy relative to the lowest polymorph listed for this composition comes out at 25 meV/atom. For the magnetic moment, the calculation gives 10.0 μB/cell. The energy of formation from the pure elements comes out at -1908 meV per atom.